# 1
Here is Rb3PrF6 after structural relaxation from the Materials Project. Energies are from PBE.

Lattice parameters (Å, degrees): 7.0395 7.0395 7.0395 60.00 60.00 60.00
Sites, in units of the cell vectors:
Rb 0.7500 0.7500 0.7500
Rb 0.2500 0.2500 0.2500
Rb 0.5000 0.5000 0.5000
Pr 0.0000 0.0000 0.0000
F 0.7685 0.7685 0.2315
F 0.2315 0.2315 0.7685
F 0.7685 0.2315 0.7685
F 0.2315 0.7685 0.2315
F 0.2315 0.7685 0.7685
F 0.7685 0.2315 0.2315

Properties
MP2020-corrected energy = -53.7 eV per cell
Space-group type = Fm-3m (225)
DFT formation energy = -3325 kJ/mol of formula units

---

# 2
Here is Pr2Se2F after structural relaxation from the Materials Project. Energies are from PBE.

Lattice parameters (Å, degrees): 3.2686 3.2686 13.9208 90.00 90.00 90.00
Sites, in units of the cell vectors:
Pr 0.5000 0.5000 0.1689
Pr 0.5000 0.5000 0.8311
Se 0.5000 0.5000 0.6303
Se 0.5000 0.5000 0.3697
F 0.5000 0.5000 0.0000

Properties
MP2020-corrected energy = -22.5 eV per cell
Space-group type = P4/mmm (123)
DFT formation energy = -391 kJ/mol of formula units

---

# 3
Here is Sr2PrF6 after structural relaxation from the Materials Project. Energies are from PBE.

Lattice parameters (Å, degrees): 7.1696 7.1696 7.1696 147.39 129.74 61.21
Sites, in units of the cell vectors:
Sr 0.6712 0.6712 0.0000
Sr 0.3288 0.3288 0.0000
Pr 0.0000 0.0000 0.0000
F 0.7337 0.5000 0.2337
F 0.4142 0.1621 0.2521
F 0.0900 0.8379 0.2521
F 0.2663 0.5000 0.7663
F 0.9100 0.1621 0.7479
F 0.5858 0.8379 0.7479

Properties
MP2020-corrected energy = -55.7 eV per cell
Space-group type = Immm (71)
DFT formation energy = -3482 kJ/mol of formula units

---

# 4
Here is PrZr3F15 after structural relaxation from the Materials Project. Energies are from PBE.

Lattice parameters (Å, degrees): 7.5225 7.5225 7.5225 112.67 112.67 112.67
Sites, in units of the cell vectors:
Pr 0.4939 0.4939 0.4939
Zr 0.8552 0.2864 0.8552
Zr 0.2864 0.8552 0.8552
Zr 0.8552 0.8552 0.2864
F 0.5987 0.9288 0.1426
F 0.9288 0.1426 0.5987
F 0.1426 0.5987 0.9288
F 0.9288 0.5987 0.1426
F 0.5962 0.5962 0.2563
F 0.2563 0.5962 0.5962
F 0.5962 0.2563 0.5962
F 0.1372 0.1372 0.3596
F 0.3596 0.1372 0.1372
F 0.1372 0.3596 0.1372
F 0.6788 0.6788 0.9162
F 0.9162 0.6788 0.6788
F 0.6788 0.9162 0.6788
F 0.1426 0.9288 0.5987
F 0.5987 0.1426 0.9288

Properties
MP2020-corrected energy = -137.1 eV per cell
Space-group type = R3m (160)
DFT formation energy = -7523 kJ/mol of formula units

---

# 5
Here is PrZr3F15 after structural relaxation from the Materials Project. Energies are from PBE.

Lattice parameters (Å, degrees): 8.3455 8.3485 16.6893 100.36 100.05 100.08
Sites, in units of the cell vectors:
Pr 0.8213 0.6743 0.1252
Pr 0.3223 0.7508 0.5883
Pr 0.6777 0.2492 0.4118
Pr 0.1787 0.3257 0.8748
Zr 0.3246 0.7592 0.0878
Zr 0.2525 0.8206 0.3357
Zr 0.7522 0.7505 0.3781
Zr 0.2508 0.8266 0.8417
Zr 0.8240 0.6797 0.6288
Zr 0.7491 0.7470 0.8735
Zr 0.2509 0.2530 0.1265
Zr 0.1760 0.3203 0.3712
Zr 0.7492 0.1734 0.1583
Zr 0.2478 0.2495 0.6219
Zr 0.7475 0.1794 0.6643
Zr 0.6754 0.2408 0.9122
F 0.5356 0.9653 0.1178
F 0.8478 0.9676 0.1608
F 0.7849 0.0005 0.3906
F 0.3471 0.8083 0.2187
F 0.0513 0.7584 0.2389
F 0.5506 0.9793 0.6375
F 0.0721 0.6934 0.0758
F 0.3108 0.8519 0.4626
F 0.8448 0.9443 0.6563
F 0.7682 0.0020 0.8859
F 0.5320 0.6573 0.0930
F 0.7196 0.7255 0.2526
F 0.4950 0.7261 0.3602
F 0.3435 0.8257 0.7367
F 0.0323 0.7464 0.7321
F 0.0324 0.6836 0.5787
F 0.7717 0.7754 0.5040
F 0.0040 0.7753 0.3873
F 0.3118 0.8521 0.9734
F 0.1908 0.5542 0.3251
F 0.2733 0.5008 0.1394
F 0.5704 0.6502 0.5959
F 0.7279 0.7259 0.7469
F 0.4973 0.7259 0.8639
F 0.7436 0.4454 0.0113
F 0.2432 0.5234 0.4729
F 0.7787 0.7826 0.9985
F 0.0037 0.7779 0.8872
F 0.7247 0.4994 0.3595
F 0.8135 0.4262 0.1758
F 0.1865 0.5738 0.8242
F 0.2753 0.5006 0.6405
F 0.9963 0.2221 0.1128
F 0.2213 0.2174 0.0015
F 0.7568 0.4766 0.5271
F 0.2564 0.5546 0.9887
F 0.5027 0.2741 0.1361
F 0.2721 0.2741 0.2531
F 0.4296 0.3498 0.4041
F 0.7267 0.4992 0.8606
F 0.8092 0.4458 0.6749
F 0.6882 0.1479 0.0266
F 0.9960 0.2247 0.6127
F 0.2283 0.2246 0.4960
F 0.9676 0.3164 0.4213
F 0.9677 0.2536 0.2679
F 0.6565 0.1743 0.2633
F 0.5050 0.2739 0.6398
F 0.2804 0.2745 0.7474
F 0.4680 0.3427 0.9070
F 0.2318 0.9980 0.1141
F 0.1552 0.0557 0.3437
F 0.6892 0.1481 0.5374
F 0.9279 0.3066 0.9242
F 0.4494 0.0207 0.3625
F 0.9487 0.2416 0.7611
F 0.6529 0.1917 0.7813
F 0.2151 0.9995 0.6094
F 0.1522 0.0324 0.8392
F 0.4644 0.0347 0.8822

Properties
MP2020-corrected energy = -548.2 eV per cell
Space-group type = P-1 (2)
DFT formation energy = -7518 kJ/mol of formula units

---

# 6
Here is PrZr3F15 after structural relaxation from the Materials Project. Energies are from PBE.

Lattice parameters (Å, degrees): 8.3681 8.3681 8.3273 79.61 79.61 99.97
Sites, in units of the cell vectors:
Pr 0.1762 0.8238 0.2500
Pr 0.8238 0.1762 0.7500
Zr 0.7520 0.2480 0.2500
Zr 0.2480 0.7520 0.7500
Zr 0.7420 0.6760 0.6761
Zr 0.3240 0.2580 0.8239
Zr 0.2580 0.3240 0.3239
Zr 0.6760 0.7420 0.1761
F 0.3143 0.3484 0.0551
F 0.9276 0.8098 0.1500
F 0.8419 0.4683 0.6851
F 0.4683 0.8419 0.1851
F 0.8098 0.9276 0.6500
F 0.3484 0.3143 0.5551
F 0.6857 0.6516 0.9449
F 0.0724 0.1902 0.8500
F 0.1581 0.5317 0.3149
F 0.5317 0.1581 0.8149
F 0.1902 0.0724 0.3500
F 0.6516 0.6857 0.4449
F 0.4665 0.5335 0.2500
F 0.7450 0.9468 0.9777
F 0.0532 0.2550 0.5223
F 0.2550 0.0532 0.0223
F 0.9468 0.7450 0.4777
F 0.5335 0.4665 0.7500
F 0.7737 0.2837 0.9996
F 0.0023 0.2748 0.2222
F 0.7704 0.5040 0.2240
F 0.5040 0.7704 0.7240
F 0.2748 0.0023 0.7222
F 0.2837 0.7737 0.4996
F 0.2263 0.7163 0.0004
F 0.9977 0.7252 0.7778
F 0.2296 0.4960 0.7760
F 0.4960 0.2296 0.2760
F 0.7252 0.9977 0.2778
F 0.7163 0.2263 0.5004

Properties
MP2020-corrected energy = -274.0 eV per cell
Space-group type = C2/c (15)
DFT formation energy = -7514 kJ/mol of formula units

---

# 7
Here is PrZr2F11 after structural relaxation from the Materials Project. Energies are from PBE.

Lattice parameters (Å, degrees): 8.5140 8.5140 8.5140 124.71 106.37 98.55
Sites, in units of the cell vectors:
Pr 0.2500 0.2500 0.0000
Pr 0.7500 0.7500 0.0000
Zr 0.8194 0.6336 0.4529
Zr 0.1806 0.3664 0.5471
Zr 0.3194 0.8664 0.1858
Zr 0.6806 0.1336 0.8142
F 0.3214 0.0348 0.0827
F 0.7196 0.8704 0.5900
F 0.9521 0.2388 0.9173
F 0.9462 0.1057 0.3119
F 0.2196 0.6296 0.8493
F 0.7938 0.6343 0.6881
F 0.5479 0.4652 0.2866
F 0.4462 0.1343 0.8405
F 0.7804 0.3704 0.1507
F 0.2938 0.6057 0.1595
F 0.4521 0.5348 0.7134
F 0.7062 0.3943 0.8405
F 0.5538 0.8657 0.1595
F 0.0479 0.7612 0.0827
F 0.0000 0.5000 0.5000
F 0.8214 0.7388 0.2866
F 0.2062 0.3657 0.3119
F 0.6786 0.9652 0.9173
F 0.1786 0.2612 0.7134
F 0.2804 0.1296 0.4100
F 0.0538 0.8943 0.6881
F 0.5000 0.0000 0.5000

Properties
MP2020-corrected energy = -202.0 eV per cell
Space-group type = Ibam (72)
DFT formation energy = -5602 kJ/mol of formula units

---

# 8
Here is Pt3F after structural relaxation from the Materials Project. Energies are from PBE.

Lattice parameters (Å, degrees): 4.3705 4.3705 4.3705 60.00 60.00 60.00
Sites, in units of the cell vectors:
Pt 0.2500 0.2500 0.2500
Pt 0.7500 0.7500 0.7500
Pt 0.5000 0.5000 0.5000
F 0.0000 0.0000 0.0000

Properties
MP2020-corrected energy = -20.0 eV per cell
Space-group type = Fm-3m (225)
DFT formation energy = 12 kJ/mol of formula units